Entry 1:
Entry from the Materials Project database: a geometry-optimized Li3Mn2P4O14 structure (GGA+U).

a = 9.8486 Å, b = 9.8702 Å, c = 11.3408 Å
α = 89.90°, β = 76.98°, γ = 89.42°
With the nearest neighbours (Å) after each atom.
Atoms (fractional coordinates):
Li 0.0000 0.0000 0.0000  3 O 1.91-2.00
Li 0.0116 0.9762 0.5063  3 O 1.96-2.13
Li 0.0741 0.6725 0.4929  4 O 1.90-1.98
Li 0.2485 0.4559 0.4356  4 O 1.86-1.96
Li 0.2825 0.8405 0.0132  5 O 2.00-2.23
Li 0.3236 0.1464 0.9220  3 O 1.86-2.00
Li 0.5443 0.3544 0.9136  4 O 1.93-2.14
Li 0.5710 0.9585 0.4888  4 O 1.86-2.01
Li 0.7464 0.1723 0.4331  4 O 1.90-2.00
Li 0.7667 0.7860 0.0138  3 O 1.91-2.05
Li 0.8078 0.4780 0.4180  3 O 1.95-2.12
Li 0.8340 0.4846 0.9168  3 O 1.91-2.02
Mn 0.3650 0.6394 0.7901  6 O 2.06-2.20
Mn 0.4034 0.8523 0.2878  5 O 2.00-2.19
Mn 0.4152 0.3522 0.6376  5 O 2.00-2.18
Mn 0.4557 0.1466 0.1402  6 O 2.06-2.30
Mn 0.8629 0.9914 0.7890  6 O 2.11-2.23
Mn 0.9007 0.7810 0.2890  5 O 2.13-2.25
Mn 0.9203 0.2833 0.6372  5 O 2.09-2.20
Mn 0.9553 0.4877 0.1367  5 O 1.98-2.16
P 0.0391 0.7150 0.8871  4 O 1.53-1.61
P 0.0435 0.2723 0.3534  4 O 1.49-1.64
P 0.0987 0.4959 0.7052  4 O 1.51-1.63
P 0.1368 0.0154 0.2224  4 O 1.52-1.60
P 0.1857 0.1160 0.7089  4 O 1.50-1.61
P 0.2195 0.6354 0.2216  4 O 1.50-1.61
P 0.2808 0.4220 0.0355  4 O 1.53-1.62
P 0.2810 0.8547 0.5749  4 O 1.51-1.62
P 0.5364 0.9162 0.8873  4 O 1.51-1.63
P 0.5407 0.3576 0.3522  4 O 1.51-1.63
P 0.6003 0.1366 0.7043  4 O 1.51-1.61
P 0.6345 0.6145 0.2163  4 O 1.49-1.60
P 0.6856 0.5169 0.7035  4 O 1.51-1.60
P 0.7210 0.9971 0.2186  4 O 1.51-1.62
P 0.7773 0.7733 0.5731  4 O 1.49-1.65
P 0.7812 0.2167 0.0386  4 O 1.52-1.62
O 0.0373 0.1047 0.6777  1 P 1.58
O 0.0437 0.6453 0.7582  2 P 1.61-1.63
O 0.0493 0.9250 0.3196  1 P 1.53
O 0.0693 0.1643 0.2401  2 P 1.60-1.64
O 0.0731 0.6493 0.1920  1 P 1.56
O 0.0984 0.5025 0.5721  1 P 1.51
O 0.1272 0.4155 0.0295  1 P 1.53
O 0.1381 0.9774 0.0923  1 P 1.52
O 0.1412 0.8377 0.5421  1 P 1.51
O 0.1794 0.1377 0.8408  1 P 1.50
O 0.1804 0.2972 0.3837  1 P 1.49
O 0.1903 0.7215 0.9036  1 P 1.54
O 0.2194 0.6256 0.3539  1 P 1.50
O 0.2434 0.4762 0.7334  1 P 1.54
O 0.2626 0.9717 0.6776  2 P 1.61-1.62
O 0.2691 0.2192 0.6196  1 P 1.54
O 0.2871 0.4958 0.1611  2 P 1.61-1.62
O 0.2904 0.0226 0.2435  1 P 1.59
O 0.3155 0.7524 0.1631  1 P 1.55
O 0.3363 0.7343 0.6351  1 P 1.53
O 0.3446 0.2806 0.0447  1 P 1.54
O 0.3764 0.4970 0.9307  1 P 1.53
O 0.3891 0.9090 0.4633  1 P 1.56
O 0.4320 0.4149 0.4629  1 P 1.56
O 0.4386 0.0058 0.9829  1 P 1.55
O 0.4665 0.7825 0.8763  1 P 1.51
O 0.4860 0.2367 0.2957  1 P 1.52
O 0.4930 0.2447 0.7713  1 P 1.56
O 0.5317 0.5235 0.6830  1 P 1.58
O 0.5449 0.9918 0.7581  2 P 1.61-1.63
O 0.5500 0.7173 0.3070  1 P 1.54
O 0.5586 0.4717 0.2458  2 P 1.60-1.63
O 0.5748 0.9788 0.1925  1 P 1.55
O 0.5962 0.1330 0.5720  1 P 1.51
O 0.6289 0.2286 0.0241  1 P 1.55
O 0.6407 0.8000 0.5419  1 P 1.49
O 0.6450 0.6444 0.0854  1 P 1.49
O 0.6809 0.3403 0.3846  1 P 1.51
O 0.6863 0.9041 0.9029  1 P 1.53
O 0.6885 0.4746 0.8307  1 P 1.51
O 0.7258 0.9995 0.3511  1 P 1.51
O 0.7453 0.1571 0.7307  1 P 1.54
O 0.7511 0.6652 0.6866  2 P 1.60-1.65
O 0.7727 0.4258 0.6035  1 P 1.54
O 0.7763 0.1449 0.1684  2 P 1.62
O 0.7848 0.5980 0.2474  1 P 1.60
O 0.8258 0.8908 0.1494  1 P 1.55
O 0.8383 0.3591 0.0517  1 P 1.54
O 0.8485 0.8928 0.6215  1 P 1.54
O 0.8729 0.1265 0.9444  1 P 1.52
O 0.8834 0.7014 0.4670  1 P 1.57
O 0.9378 0.2025 0.4605  1 P 1.57
O 0.9392 0.6304 0.9821  1 P 1.54
O 0.9719 0.3926 0.3045  1 P 1.54
O 0.9778 0.8570 0.8807  1 P 1.53
O 0.9886 0.3943 0.7695  1 P 1.54

DFT formation energy in eV/atom: -2.592
VASP energy in eV/atom: -7.0282

Entry 2:
Entry from the Materials Project database: a geometry-optimized LiMnPO4 structure (GGA+U).

a = 10.8438 Å, b = 10.8438 Å, c = 12.6840 Å
α = 90.00°, β = 90.00°, γ = 120.00°
With the nearest neighbours (Å) after each atom.
Atoms (fractional coordinates):
Li 0.0000 0.0000 0.0000  4 O 2.08
Li 0.0000 0.0000 0.3333  4 O 2.08
Li 0.0000 0.0000 0.6667  4 O 2.08
Li 0.0000 0.5000 0.1606  4 O 2.06-2.13
Li 0.0000 0.5000 0.5061  4 O 2.06-2.13
Li 0.0000 0.5000 0.8333  4 O 2.15
Li 0.5000 0.0000 0.1727  4 O 2.06-2.13
Li 0.5000 0.0000 0.5000  4 O 2.15
Li 0.5000 0.0000 0.8273  4 O 2.06-2.13
Li 0.5000 0.5000 0.1667  4 O 2.15
Li 0.5000 0.5000 0.4939  4 O 2.06-2.13
Li 0.5000 0.5000 0.8394  4 O 2.06-2.13
Mn 0.0000 0.2510 0.3333  4 O 2.00-2.06
Mn 0.0000 0.7490 0.3333  4 O 2.00-2.06
Mn 0.2488 0.4976 0.0000  4 O 2.02
Mn 0.2488 0.7512 0.6667  4 O 2.02
Mn 0.2510 0.0000 0.0000  4 O 2.00-2.06
Mn 0.2510 0.2510 0.6667  4 O 2.00-2.06
Mn 0.4976 0.2488 0.3333  4 O 2.02
Mn 0.5024 0.7512 0.3333  4 O 2.02
Mn 0.7490 0.0000 0.0000  4 O 2.00-2.06
Mn 0.7490 0.7490 0.6667  4 O 2.00-2.06
Mn 0.7512 0.2488 0.6667  4 O 2.02
Mn 0.7512 0.5024 0.0000  4 O 2.02
P 0.0000 0.2437 0.8333  4 O 1.56
P 0.0000 0.7563 0.8333  4 O 1.56
P 0.2437 0.0000 0.5000  4 O 1.56
P 0.2437 0.2437 0.1667  4 O 1.56
P 0.2476 0.4953 0.5000  4 O 1.55-1.56
P 0.2476 0.7524 0.1667  4 O 1.55-1.56
P 0.4953 0.2476 0.8333  4 O 1.55-1.56
P 0.5047 0.7524 0.8333  4 O 1.55-1.56
P 0.7524 0.2476 0.1667  4 O 1.55-1.56
P 0.7524 0.5047 0.5000  4 O 1.55-1.56
P 0.7563 0.0000 0.5000  4 O 1.56
P 0.7563 0.7563 0.1667  4 O 1.56
O 0.0641 0.1902 0.7468  1 P 1.56
O 0.0641 0.8739 0.9199  1 P 1.56
O 0.1057 0.4066 0.4384  1 P 1.56
O 0.1057 0.6991 0.2283  1 P 1.56
O 0.1093 0.3902 0.8826  1 P 1.56
O 0.1093 0.7191 0.7840  1 P 1.56
O 0.1261 0.1902 0.2532  1 P 1.56
O 0.1261 0.9359 0.4135  1 P 1.56
O 0.1902 0.0641 0.5865  1 P 1.56
O 0.1902 0.1261 0.0801  1 P 1.56
O 0.2056 0.5815 0.5749  1 P 1.55
O 0.2056 0.6242 0.0918  1 P 1.55
O 0.2809 0.3902 0.1174  1 P 1.56
O 0.2809 0.8907 0.5493  1 P 1.56
O 0.3009 0.4066 0.5616  1 P 1.56
O 0.3009 0.8943 0.1051  1 P 1.56
O 0.3758 0.5815 0.4251  1 P 1.55
O 0.3758 0.7944 0.2415  1 P 1.55
O 0.3902 0.1093 0.4507  1 P 1.56
O 0.3902 0.2809 0.2160  1 P 1.56
O 0.4066 0.1057 0.8949  1 P 1.56
O 0.4066 0.3009 0.7717  1 P 1.56
O 0.4185 0.6242 0.9082  1 P 1.55
O 0.4185 0.7944 0.7585  1 P 1.55
O 0.5815 0.2056 0.7585  1 P 1.55
O 0.5815 0.3758 0.9082  1 P 1.55
O 0.5934 0.6991 0.7717  1 P 1.56
O 0.5934 0.8943 0.8949  1 P 1.56
O 0.6098 0.7191 0.2160  1 P 1.56
O 0.6098 0.8907 0.4507  1 P 1.56
O 0.6242 0.2056 0.2415  1 P 1.55
O 0.6242 0.4185 0.4251  1 P 1.55
O 0.6991 0.1057 0.1051  1 P 1.56
O 0.6991 0.5934 0.5616  1 P 1.56
O 0.7191 0.1093 0.5493  1 P 1.56
O 0.7191 0.6098 0.1174  1 P 1.56
O 0.7944 0.3758 0.0918  1 P 1.55
O 0.7944 0.4185 0.5749  1 P 1.55
O 0.8098 0.8739 0.0801  1 P 1.56
O 0.8098 0.9359 0.5865  1 P 1.56
O 0.8739 0.0641 0.4135  1 P 1.56
O 0.8739 0.8098 0.2532  1 P 1.56
O 0.8907 0.2809 0.7840  1 P 1.56
O 0.8907 0.6098 0.8826  1 P 1.56
O 0.8943 0.3009 0.2283  1 P 1.56
O 0.8943 0.5934 0.4384  1 P 1.56
O 0.9359 0.1261 0.9199  1 P 1.56
O 0.9359 0.8098 0.7468  1 P 1.56

DFT formation energy in eV/atom: -2.554
VASP energy in eV/atom: -7.1053

Entry 3:
Entry from the Materials Project database: a geometry-optimized LiMn4P3O12 structure (GGA+U).

a = 9.7862 Å, b = 9.7862 Å, c = 9.7862 Å
α = 52.52°, β = 52.52°, γ = 52.52°
With the nearest neighbours (Å) after each atom.
Atoms (fractional coordinates):
Li 0.0000 0.0000 0.0000  3 O 1.97
Li 0.5000 0.5000 0.5000  3 O 1.97
Mn 0.0082 0.7874 0.3729  4 O 2.09-2.15
Mn 0.2874 0.5082 0.8729  4 O 2.09-2.15
Mn 0.3306 0.3306 0.3306  6 O 2.24-2.33
Mn 0.3729 0.0083 0.7874  4 O 2.09-2.15
Mn 0.5082 0.8729 0.2874  4 O 2.09-2.15
Mn 0.7874 0.3729 0.0082  4 O 2.09-2.15
Mn 0.8306 0.8306 0.8306  6 O 2.24-2.33
Mn 0.8729 0.2874 0.5082  4 O 2.09-2.15
P 0.1259 0.4327 0.7194  4 O 1.54-1.57
P 0.2194 0.9327 0.6259  4 O 1.54-1.57
P 0.4327 0.7194 0.1259  4 O 1.54-1.57
P 0.6259 0.2194 0.9327  4 O 1.54-1.57
P 0.7194 0.1259 0.4327  4 O 1.54-1.57
P 0.9327 0.6259 0.2194  4 O 1.54-1.57
O 0.0021 0.6466 0.0171  1 P 1.57
O 0.0171 0.0021 0.6466  1 P 1.57
O 0.0594 0.4321 0.3210  1 P 1.57
O 0.1207 0.2353 0.8371  1 P 1.55
O 0.1466 0.5021 0.5171  1 P 1.57
O 0.2150 0.9322 0.7857  1 P 1.54
O 0.2353 0.8371 0.1207  1 P 1.55
O 0.2857 0.4322 0.7150  1 P 1.54
O 0.3210 0.0594 0.4321  1 P 1.57
O 0.3371 0.7353 0.6207  1 P 1.55
O 0.4321 0.3210 0.0594  1 P 1.57
O 0.4322 0.7150 0.2857  1 P 1.54
O 0.5021 0.5171 0.1466  1 P 1.57
O 0.5171 0.1466 0.5021  1 P 1.57
O 0.5594 0.8210 0.9321  1 P 1.57
O 0.6207 0.3371 0.7353  1 P 1.55
O 0.6466 0.0171 0.0021  1 P 1.57
O 0.7150 0.2857 0.4322  1 P 1.54
O 0.7353 0.6207 0.3371  1 P 1.55
O 0.7857 0.2150 0.9322  1 P 1.54
O 0.8210 0.9321 0.5594  1 P 1.57
O 0.8371 0.1207 0.2353  1 P 1.55
O 0.9321 0.5594 0.8210  1 P 1.57
O 0.9322 0.7857 0.2150  1 P 1.54

DFT formation energy in eV/atom: -2.536
VASP energy in eV/atom: -7.4984

Entry 4:
Entry from the Materials Project database: a geometry-optimized Li3Mn5P6O24 structure (GGA+U).

a = 15.6304 Å, b = 15.6304 Å, c = 11.1664 Å
α = 90.15°, β = 90.15°, γ = 157.14°
With the nearest neighbours (Å) after each atom.
Atoms (fractional coordinates):
Li 0.0385 0.9615 0.7500  2 O 2.12
Li 0.2130 0.4816 0.9511  2 O 2.13-2.26
Li 0.4816 0.2130 0.4511  2 O 2.13-2.26
Li 0.5184 0.7870 0.5489  2 O 2.13-2.26
Li 0.7870 0.5184 0.0489  2 O 2.13-2.26
Li 0.9615 0.0385 0.2500  2 O 2.12
Mn 0.0000 0.5000 0.5000  6 O 1.90-2.12
Mn 0.1871 0.8129 0.7500  4 O 1.92-2.05
Mn 0.1896 0.8104 0.2500  4 O 1.93-2.06
Mn 0.2022 0.3049 0.5910  5 O 1.91-2.08
Mn 0.3049 0.2022 0.0910  5 O 1.91-2.08
Mn 0.5000 0.0000 0.0000  6 O 1.90-2.12
Mn 0.6951 0.7978 0.9090  5 O 1.91-2.08
Mn 0.7978 0.6951 0.4090  5 O 1.91-2.08
Mn 0.8104 0.1896 0.7500  4 O 1.93-2.06
Mn 0.8129 0.1871 0.2500  4 O 1.92-2.05
P 0.0049 0.7102 0.5010  4 O 1.53-1.56
P 0.2115 0.2623 0.8665  4 O 1.52-1.58
P 0.2623 0.2115 0.3665  4 O 1.52-1.58
P 0.2805 0.7195 0.7500  4 O 1.55-1.56
P 0.2817 0.7183 0.2500  4 O 1.54-1.57
P 0.2898 0.9951 0.9990  4 O 1.53-1.56
P 0.7102 0.0049 0.0010  4 O 1.53-1.56
P 0.7183 0.2817 0.7500  4 O 1.54-1.57
P 0.7195 0.2805 0.2500  4 O 1.55-1.56
P 0.7377 0.7885 0.6335  4 O 1.52-1.58
P 0.7885 0.7377 0.1335  4 O 1.52-1.58
P 0.9951 0.2898 0.4990  4 O 1.53-1.56
O 0.0041 0.8898 0.0946  1 P 1.56
O 0.1019 0.4789 0.4976  1 P 1.56
O 0.1102 0.9959 0.4054  1 P 1.56
O 0.1189 0.4942 0.2268  1 P 1.54
O 0.1215 0.8406 0.6193  1 P 1.53
O 0.1220 0.4969 0.7679  1 P 1.55
O 0.1249 0.8239 0.1007  1 P 1.55
O 0.1594 0.8785 0.8807  1 P 1.53
O 0.1761 0.8751 0.3993  1 P 1.55
O 0.2000 0.4205 0.5233  1 P 1.56
O 0.2075 0.2454 0.4276  1 P 1.52
O 0.2131 0.2385 0.7297  1 P 1.58
O 0.2199 0.7225 0.3564  1 P 1.57
O 0.2221 0.7260 0.6430  1 P 1.56
O 0.2385 0.2131 0.2297  1 P 1.58
O 0.2454 0.2075 0.9276  1 P 1.52
O 0.2740 0.7779 0.8570  1 P 1.56
O 0.2775 0.7801 0.1436  1 P 1.57
O 0.3830 0.4910 0.8942  1 P 1.55
O 0.4205 0.2000 0.0233  1 P 1.56
O 0.4789 0.1019 0.9976  1 P 1.56
O 0.4910 0.3830 0.3942  1 P 1.55
O 0.4942 0.1189 0.7268  1 P 1.54
O 0.4969 0.1220 0.2679  1 P 1.55
O 0.5031 0.8780 0.7321  1 P 1.55
O 0.5058 0.8811 0.2732  1 P 1.54
O 0.5090 0.6170 0.6058  1 P 1.55
O 0.5211 0.8981 0.0024  1 P 1.56
O 0.5795 0.8000 0.9767  1 P 1.56
O 0.6170 0.5090 0.1058  1 P 1.55
O 0.7225 0.2199 0.8564  1 P 1.57
O 0.7260 0.2221 0.1430  1 P 1.56
O 0.7546 0.7925 0.0724  1 P 1.52
O 0.7615 0.7869 0.7703  1 P 1.58
O 0.7779 0.2740 0.3570  1 P 1.56
O 0.7801 0.2775 0.6436  1 P 1.57
O 0.7869 0.7615 0.2703  1 P 1.58
O 0.7925 0.7546 0.5724  1 P 1.52
O 0.8000 0.5795 0.4767  1 P 1.56
O 0.8239 0.1249 0.6007  1 P 1.55
O 0.8406 0.1215 0.1193  1 P 1.53
O 0.8751 0.1761 0.8993  1 P 1.55
O 0.8780 0.5031 0.2321  1 P 1.55
O 0.8785 0.1594 0.3807  1 P 1.53
O 0.8811 0.5058 0.7732  1 P 1.54
O 0.8898 0.0041 0.5946  1 P 1.56
O 0.8981 0.5211 0.5024  1 P 1.56
O 0.9959 0.1102 0.9054  1 P 1.56

DFT formation energy in eV/atom: -2.460
VASP energy in eV/atom: -7.1428

Entry 5:
Entry from the Materials Project database: a geometry-optimized LiMnPO4 structure (GGA+U).

a = 7.4318 Å, b = 4.8153 Å, c = 18.2354 Å
α = 90.00°, β = 90.90°, γ = 90.00°
With the nearest neighbours (Å) after each atom.
Atoms (fractional coordinates):
Li 0.1457 0.2328 0.2294  3 O 1.86-1.98
Li 0.1457 0.2672 0.7294  3 O 1.86-1.98
Li 0.3309 0.7230 0.9817  3 O 1.92-2.02
Li 0.3309 0.7770 0.4817  3 O 1.92-2.02
Li 0.6691 0.2230 0.5183  3 O 1.92-2.02
Li 0.6691 0.2770 0.0183  3 O 1.92-2.02
Li 0.8543 0.7328 0.2706  3 O 1.86-1.98
Li 0.8543 0.7672 0.7706  3 O 1.86-1.98
Mn 0.0293 0.2425 0.4009  4 O 2.12-2.37
Mn 0.0293 0.2575 0.9009  4 O 2.12-2.37
Mn 0.4798 0.6728 0.1676  4 O 2.14-2.23
Mn 0.4798 0.8272 0.6676  4 O 2.14-2.23
Mn 0.5202 0.1728 0.3324  4 O 2.14-2.23
Mn 0.5202 0.3272 0.8324  4 O 2.14-2.23
Mn 0.9707 0.7425 0.0991  4 O 2.12-2.37
Mn 0.9707 0.7575 0.5991  4 O 2.12-2.37
P 0.2408 0.6712 0.3217  4 O 1.54-1.59
P 0.2408 0.8288 0.8217  4 O 1.54-1.59
P 0.2575 0.2153 0.5693  4 O 1.54-1.56
P 0.2575 0.2847 0.0693  4 O 1.54-1.56
P 0.7425 0.7153 0.9307  4 O 1.54-1.56
P 0.7425 0.7847 0.4307  4 O 1.54-1.56
P 0.7592 0.1712 0.1783  4 O 1.54-1.59
P 0.7592 0.3288 0.6783  4 O 1.54-1.59
O 0.0736 0.5500 0.2828  1 P 1.54
O 0.0736 0.9500 0.7828  1 P 1.54
O 0.1536 0.0760 0.6336  1 P 1.56
O 0.1536 0.4240 0.1336  1 P 1.56
O 0.1764 0.1144 0.4955  1 P 1.54
O 0.1764 0.3856 0.9955  1 P 1.54
O 0.2351 0.5618 0.4014  1 P 1.55
O 0.2351 0.9382 0.9014  1 P 1.55
O 0.2495 0.5048 0.8178  1 P 1.56
O 0.2495 0.9952 0.3178  1 P 1.56
O 0.2508 0.5382 0.5775  1 P 1.56
O 0.2508 0.9618 0.0775  1 P 1.56
O 0.4137 0.5521 0.2823  1 P 1.59
O 0.4137 0.9479 0.7823  1 P 1.59
O 0.4532 0.0996 0.5756  1 P 1.56
O 0.4532 0.4004 0.0756  1 P 1.56
O 0.5468 0.5996 0.9244  1 P 1.56
O 0.5468 0.9004 0.4244  1 P 1.56
O 0.5863 0.0521 0.2177  1 P 1.59
O 0.5863 0.4479 0.7177  1 P 1.59
O 0.7492 0.0382 0.9225  1 P 1.56
O 0.7492 0.4618 0.4225  1 P 1.56
O 0.7505 0.0048 0.6822  1 P 1.56
O 0.7505 0.4952 0.1822  1 P 1.56
O 0.7649 0.0618 0.0986  1 P 1.55
O 0.7649 0.4382 0.5986  1 P 1.55
O 0.8236 0.6144 0.0045  1 P 1.54
O 0.8236 0.8856 0.5045  1 P 1.54
O 0.8464 0.5760 0.8664  1 P 1.56
O 0.8464 0.9240 0.3664  1 P 1.56
O 0.9264 0.0500 0.2172  1 P 1.54
O 0.9264 0.4500 0.7172  1 P 1.54

DFT formation energy in eV/atom: -2.569
VASP energy in eV/atom: -7.1200

Entry 6:
Entry from the Materials Project database: a geometry-optimized LiMnPO4 structure (GGA+U).

a = 10.3791 Å, b = 6.9733 Å, c = 5.1423 Å
α = 90.00°, β = 90.00°, γ = 90.00°
With the nearest neighbours (Å) after each atom.
Atoms (fractional coordinates):
Li 0.1506 0.0038 0.0000  4 O 1.99-2.07
Li 0.3494 0.5038 0.5000  4 O 1.99-2.07
Li 0.6506 0.4962 0.0000  4 O 1.99-2.07
Li 0.8494 0.9962 0.5000  4 O 1.99-2.07
Mn 0.1571 0.5028 0.0015  4 O 2.08-2.09
Mn 0.3429 0.0028 0.5015  4 O 2.08-2.09
Mn 0.6571 0.9972 0.0015  4 O 2.08-2.09
Mn 0.8429 0.4972 0.5015  4 O 2.08-2.09
P 0.0971 0.7528 0.4952  4 O 1.55-1.56
P 0.4029 0.2528 0.9952  4 O 1.55-1.56
P 0.5971 0.7472 0.4952  4 O 1.55-1.56
P 0.9029 0.2472 0.9952  4 O 1.55-1.56
O 0.0502 0.2516 0.0478  1 P 1.55
O 0.1249 0.7598 0.1972  1 P 1.56
O 0.1570 0.9327 0.6255  1 P 1.55
O 0.1617 0.5672 0.6051  1 P 1.56
O 0.3383 0.0672 0.1051  1 P 1.56
O 0.3430 0.4327 0.1255  1 P 1.55
O 0.3751 0.2598 0.6972  1 P 1.56
O 0.4498 0.7516 0.5478  1 P 1.55
O 0.5502 0.2484 0.0478  1 P 1.55
O 0.6249 0.7402 0.1972  1 P 1.56
O 0.6570 0.5673 0.6255  1 P 1.55
O 0.6617 0.9328 0.6051  1 P 1.56
O 0.8383 0.4328 0.1051  1 P 1.56
O 0.8430 0.0673 0.1255  1 P 1.55
O 0.8751 0.2402 0.6972  1 P 1.56
O 0.9498 0.7484 0.5478  1 P 1.55

DFT formation energy in eV/atom: -2.620
VASP energy in eV/atom: -7.1711

What are the magnetic moment values for these records? In order: 9.00, 5.00, 20.00, 20.00, 5.00, 0.00 μB/f.u..